The following is a GGA+U calculation of crystalline Li5Fe2P3O12 at its relaxed geometry, from the Materials Project database.

Results
total magnetization	0.36	μB per atom
ΔE_f	-2.528	eV per atom
volume	966.76	Å³/cell
SG	P2_1, No. 4

Unit cell a=8.820 b=8.718 c=12.575 alpha=88.93 beta=90.00 gamma=90.00
Element x y z (fractional)
Li 0.523 0.173 0.106
Li 0.097 0.175 0.440
Li 0.734 0.110 0.496
Li 0.660 0.156 0.718
Li 0.768 0.051 0.932
Li 0.268 0.949 0.068
Li 0.160 0.844 0.282
Li 0.234 0.890 0.504
Li 0.597 0.825 0.560
Li 0.023 0.827 0.894
Li 0.980 0.689 0.598
Li 0.403 0.670 0.940
Li 0.772 0.629 0.005
Li 0.691 0.616 0.247
Li 0.734 0.553 0.446
Li 0.234 0.447 0.554
Li 0.191 0.384 0.753
Li 0.272 0.371 0.995
Li 0.903 0.330 0.060
Li 0.480 0.311 0.402
Fe 0.537 0.993 0.349
Fe 0.037 0.007 0.651
Fe 0.444 0.001 0.860
Fe 0.944 0.999 0.140
Fe 0.045 0.501 0.351
Fe 0.545 0.499 0.649
Fe 0.944 0.503 0.855
Fe 0.444 0.497 0.145
P 0.246 0.194 0.242
P 0.394 0.143 0.597
P 0.099 0.143 0.909
P 0.894 0.857 0.403
P 0.599 0.857 0.091
P 0.746 0.806 0.758
P 0.246 0.698 0.740
P 0.402 0.647 0.402
P 0.108 0.644 0.097
P 0.902 0.353 0.598
P 0.608 0.356 0.903
P 0.746 0.302 0.260
O 0.861 0.212 0.194
O 0.860 0.180 0.620
O 0.680 0.209 0.357
O 0.586 0.187 0.944
O 0.371 0.154 0.325
O 0.228 0.097 0.567
O 0.416 0.134 0.718
O 0.973 0.130 0.995
O 0.257 0.090 0.950
O 0.177 0.040 0.201
O 0.050 0.040 0.816
O 0.512 0.040 0.540
O 0.012 0.960 0.460
O 0.550 0.960 0.184
O 0.677 0.960 0.799
O 0.757 0.910 0.050
O 0.916 0.866 0.282
O 0.473 0.870 0.005
O 0.728 0.903 0.433
O 0.871 0.846 0.675
O 0.180 0.791 0.643
O 0.360 0.820 0.380
O 0.086 0.813 0.056
O 0.361 0.788 0.806
O 0.627 0.714 0.698
O 0.920 0.686 0.443
O 0.615 0.682 0.117
O 0.816 0.719 0.856
O 0.118 0.652 0.820
O 0.266 0.586 0.056
O 0.519 0.635 0.496
O 0.115 0.637 0.219
O 0.254 0.563 0.431
O 0.313 0.545 0.695
O 0.482 0.571 0.307
O 0.980 0.544 0.050
O 0.480 0.456 0.950
O 0.982 0.429 0.693
O 0.813 0.455 0.305
O 0.754 0.437 0.569
O 0.019 0.365 0.504
O 0.615 0.363 0.781
O 0.766 0.414 0.944
O 0.618 0.348 0.180
O 0.420 0.314 0.557
O 0.316 0.281 0.144
O 0.115 0.318 0.883
O 0.127 0.286 0.302